A relaxed structure of Na6Nb2Ga6Si5S7O48. Source: the Materials Project database, functional PBE-GGA.

Cell: 8.813 15.079 22.400 Å, 89.40 89.94 89.95°
Space group P1 (No. 1)
Unique sites:
Na: 0.000 0.000 0.000 (multiplicity 1)
Na: 0.000 0.008 0.495 (multiplicity 1)
Na: 0.003 0.343 0.161 (multiplicity 1)
Na: 0.130 0.171 0.078 (multiplicity 1)
Na: 0.354 0.671 0.582 (multiplicity 1)
Na: 0.484 0.502 0.505 (multiplicity 1)
Na: 0.486 0.838 0.160 (multiplicity 1)
Na: 0.487 0.509 0.991 (multiplicity 1)
Na: 0.487 0.844 0.663 (multiplicity 1)
Na: 0.488 0.170 0.834 (multiplicity 1)
Na: 0.494 0.166 0.330 (multiplicity 1)
Na: 0.678 0.351 0.078 (multiplicity 1)
Na: 0.680 0.990 0.081 (multiplicity 1)
Na: 0.805 0.492 0.585 (multiplicity 1)
Na: 0.809 0.851 0.587 (multiplicity 1)
Na: 0.991 0.674 0.826 (multiplicity 1)
Na: 0.997 0.673 0.335 (multiplicity 1)
Na: 0.999 0.337 0.662 (multiplicity 1)
Nb: 0.501 0.174 0.478 (multiplicity 1)
Nb: 0.504 0.841 0.317 (multiplicity 1)
Nb: 0.509 0.839 0.806 (multiplicity 1)
Nb: 0.982 0.340 0.817 (multiplicity 1)
Nb: 0.984 0.676 0.975 (multiplicity 1)
Nb: 0.988 0.340 0.310 (multiplicity 1)
Ga: 0.005 0.998 0.138 (multiplicity 1)
Ga: 0.006 0.998 0.842 (multiplicity 1)
Ga: 0.007 0.001 0.656 (multiplicity 1)
Ga: 0.475 0.509 0.150 (multiplicity 1)
Ga: 0.479 0.500 0.640 (multiplicity 1)
Ga: 0.479 0.510 0.348 (multiplicity 1)
Ga: 0.488 0.172 0.687 (multiplicity 1)
Ga: 0.490 0.504 0.861 (multiplicity 1)
Ga: 0.506 0.835 0.024 (multiplicity 1)
Ga: 0.507 0.839 0.514 (multiplicity 1)
Ga: 0.508 0.164 0.173 (multiplicity 1)
Ga: 0.513 0.165 0.982 (multiplicity 1)
Ga: 0.971 0.673 0.680 (multiplicity 1)
Ga: 0.974 0.670 0.486 (multiplicity 1)
Ga: 0.977 0.337 0.011 (multiplicity 1)
Ga: 0.980 0.334 0.527 (multiplicity 1)
Ga: 0.995 0.004 0.363 (multiplicity 1)
Ga: 0.998 0.671 0.186 (multiplicity 1)
Si: 0.128 0.529 0.581 (multiplicity 1)
Si: 0.142 0.479 0.922 (multiplicity 1)
Si: 0.203 0.513 0.249 (multiplicity 1)
Si: 0.284 0.014 0.750 (multiplicity 1)
Si: 0.344 0.981 0.422 (multiplicity 1)
Si: 0.353 0.026 0.079 (multiplicity 1)
Si: 0.622 0.695 0.919 (multiplicity 1)
Si: 0.636 0.313 0.590 (multiplicity 1)
Si: 0.685 0.333 0.921 (multiplicity 1)
Si: 0.693 0.674 0.583 (multiplicity 1)
Si: 0.791 0.175 0.085 (multiplicity 1)
Si: 0.799 0.833 0.421 (multiplicity 1)
Si: 0.847 0.812 0.089 (multiplicity 1)
Si: 0.860 0.195 0.420 (multiplicity 1)
Si: 0.867 0.856 0.746 (multiplicity 1)
S: 0.136 0.186 0.917 (multiplicity 1)
S: 0.136 0.863 0.251 (multiplicity 1)
S: 0.138 0.821 0.583 (multiplicity 1)
S: 0.145 0.147 0.249 (multiplicity 1)
S: 0.199 0.168 0.585 (multiplicity 1)
S: 0.206 0.844 0.918 (multiplicity 1)
S: 0.283 0.344 0.417 (multiplicity 1)
S: 0.285 0.669 0.084 (multiplicity 1)
S: 0.346 0.645 0.750 (multiplicity 1)
S: 0.349 0.362 0.751 (multiplicity 1)
S: 0.349 0.687 0.417 (multiplicity 1)
S: 0.351 0.320 0.085 (multiplicity 1)
S: 0.630 0.359 0.249 (multiplicity 1)
S: 0.638 0.648 0.250 (multiplicity 1)
S: 0.642 0.027 0.586 (multiplicity 1)
S: 0.647 0.984 0.916 (multiplicity 1)
S: 0.707 0.008 0.249 (multiplicity 1)
S: 0.776 0.505 0.750 (multiplicity 1)
S: 0.836 0.484 0.415 (multiplicity 1)
S: 0.842 0.527 0.087 (multiplicity 1)
S: 0.848 0.149 0.750 (multiplicity 1)
O: 0.041 0.572 0.640 (multiplicity 1)
O: 0.050 0.431 0.572 (multiplicity 1)
O: 0.058 0.100 0.911 (multiplicity 1)
O: 0.058 0.434 0.862 (multiplicity 1)
O: 0.058 0.577 0.928 (multiplicity 1)
O: 0.064 0.911 0.588 (multiplicity 1)
O: 0.067 0.782 0.529 (multiplicity 1)
O: 0.068 0.773 0.246 (multiplicity 1)
O: 0.073 0.905 0.304 (multiplicity 1)
O: 0.074 0.227 0.973 (multiplicity 1)
O: 0.074 0.241 0.257 (multiplicity 1)
O: 0.077 0.114 0.194 (multiplicity 1)
O: 0.088 0.597 0.242 (multiplicity 1)
O: 0.091 0.423 0.259 (multiplicity 1)
O: 0.097 0.090 0.589 (multiplicity 1)
O: 0.099 0.246 0.864 (multiplicity 1)
O: 0.100 0.920 0.912 (multiplicity 1)
O: 0.107 0.417 0.979 (multiplicity 1)
O: 0.109 0.759 0.922 (multiplicity 1)
O: 0.110 0.251 0.579 (multiplicity 1)
O: 0.112 0.094 0.303 (multiplicity 1)
O: 0.113 0.596 0.523 (multiplicity 1)
O: 0.114 0.917 0.196 (multiplicity 1)
O: 0.115 0.765 0.637 (multiplicity 1)
O: 0.168 0.993 0.410 (multiplicity 1)
O: 0.170 0.020 0.088 (multiplicity 1)
O: 0.178 0.351 0.757 (multiplicity 1)
O: 0.182 0.655 0.745 (multiplicity 1)
O: 0.185 0.032 0.809 (multiplicity 1)
O: 0.185 0.333 0.362 (multiplicity 1)
O: 0.185 0.679 0.416 (multiplicity 1)
O: 0.186 0.331 0.081 (multiplicity 1)
O: 0.189 0.655 0.030 (multiplicity 1)
O: 0.189 0.990 0.690 (multiplicity 1)
O: 0.194 0.357 0.471 (multiplicity 1)
O: 0.194 0.676 0.139 (multiplicity 1)
O: 0.294 0.178 0.638 (multiplicity 1)
O: 0.294 0.854 0.972 (multiplicity 1)
O: 0.295 0.156 0.530 (multiplicity 1)
O: 0.298 0.832 0.864 (multiplicity 1)
O: 0.301 0.180 0.918 (multiplicity 1)
O: 0.302 0.526 0.309 (multiplicity 1)
O: 0.303 0.487 0.191 (multiplicity 1)
O: 0.305 0.829 0.577 (multiplicity 1)
O: 0.307 0.851 0.257 (multiplicity 1)
O: 0.311 0.161 0.244 (multiplicity 1)
O: 0.311 0.521 0.590 (multiplicity 1)
O: 0.317 0.493 0.910 (multiplicity 1)
O: 0.371 0.416 0.696 (multiplicity 1)
O: 0.372 0.097 0.024 (multiplicity 1)
O: 0.374 0.259 0.420 (multiplicity 1)
O: 0.376 0.263 0.140 (multiplicity 1)
O: 0.376 0.751 0.080 (multiplicity 1)
O: 0.379 0.918 0.478 (multiplicity 1)
O: 0.383 0.592 0.804 (multiplicity 1)
O: 0.388 0.745 0.362 (multiplicity 1)
O: 0.389 0.590 0.087 (multiplicity 1)
O: 0.390 0.419 0.409 (multiplicity 1)
O: 0.392 0.923 0.761 (multiplicity 1)
O: 0.403 0.097 0.743 (multiplicity 1)
O: 0.411 0.727 0.471 (multiplicity 1)
O: 0.412 0.404 0.804 (multiplicity 1)
O: 0.415 0.738 0.756 (multiplicity 1)
O: 0.417 0.273 0.746 (multiplicity 1)
O: 0.417 0.610 0.695 (multiplicity 1)
O: 0.421 0.282 0.032 (multiplicity 1)
O: 0.426 0.078 0.426 (multiplicity 1)
O: 0.427 0.934 0.361 (multiplicity 1)
O: 0.429 0.600 0.411 (multiplicity 1)
O: 0.430 0.409 0.091 (multiplicity 1)
O: 0.431 0.928 0.070 (multiplicity 1)
O: 0.440 0.063 0.140 (multiplicity 1)
O: 0.552 0.740 0.977 (multiplicity 1)
O: 0.559 0.265 0.529 (multiplicity 1)
O: 0.561 0.737 0.254 (multiplicity 1)
O: 0.562 0.271 0.247 (multiplicity 1)
O: 0.563 0.412 0.590 (multiplicity 1)
O: 0.563 0.597 0.910 (multiplicity 1)
O: 0.566 0.070 0.918 (multiplicity 1)
O: 0.573 0.405 0.303 (multiplicity 1)
O: 0.574 0.607 0.195 (multiplicity 1)
O: 0.575 0.760 0.575 (multiplicity 1)
O: 0.575 0.937 0.580 (multiplicity 1)
O: 0.578 0.067 0.639 (multiplicity 1)
O: 0.579 0.939 0.862 (multiplicity 1)
O: 0.584 0.244 0.924 (multiplicity 1)
O: 0.588 0.587 0.594 (multiplicity 1)
O: 0.593 0.422 0.907 (multiplicity 1)
O: 0.600 0.757 0.860 (multiplicity 1)
O: 0.601 0.250 0.646 (multiplicity 1)
O: 0.603 0.081 0.530 (multiplicity 1)
O: 0.603 0.087 0.245 (multiplicity 1)
O: 0.605 0.925 0.255 (multiplicity 1)
O: 0.608 0.595 0.305 (multiplicity 1)
O: 0.610 0.412 0.194 (multiplicity 1)
O: 0.621 0.932 0.971 (multiplicity 1)
O: 0.665 0.825 0.081 (multiplicity 1)
O: 0.669 0.189 0.426 (multiplicity 1)
O: 0.669 0.492 0.405 (multiplicity 1)
O: 0.671 0.516 0.091 (multiplicity 1)
O: 0.674 0.846 0.754 (multiplicity 1)
O: 0.676 0.819 0.362 (multiplicity 1)
O: 0.682 0.513 0.803 (multiplicity 1)
O: 0.684 0.149 0.029 (multiplicity 1)
O: 0.684 0.162 0.747 (multiplicity 1)
O: 0.686 0.207 0.141 (multiplicity 1)
O: 0.692 0.492 0.694 (multiplicity 1)
O: 0.696 0.849 0.480 (multiplicity 1)
O: 0.786 0.350 0.980 (multiplicity 1)
O: 0.792 0.995 0.194 (multiplicity 1)
O: 0.796 0.648 0.526 (multiplicity 1)
O: 0.798 0.706 0.638 (multiplicity 1)
O: 0.799 0.016 0.303 (multiplicity 1)
O: 0.803 0.350 0.254 (multiplicity 1)
O: 0.803 0.660 0.247 (multiplicity 1)
O: 0.810 0.020 0.586 (multiplicity 1)
O: 0.810 0.319 0.863 (multiplicity 1)
O: 0.812 0.995 0.908 (multiplicity 1)
O: 0.814 0.689 0.926 (multiplicity 1)
O: 0.818 0.325 0.582 (multiplicity 1)
O: 0.859 0.431 0.469 (multiplicity 1)
O: 0.872 0.581 0.032 (multiplicity 1)
O: 0.875 0.916 0.685 (multiplicity 1)
O: 0.877 0.421 0.756 (multiplicity 1)
O: 0.880 0.096 0.805 (multiplicity 1)
O: 0.880 0.582 0.747 (multiplicity 1)
O: 0.882 0.751 0.147 (multiplicity 1)
O: 0.885 0.257 0.359 (multiplicity 1)
O: 0.890 0.921 0.407 (multiplicity 1)
O: 0.895 0.087 0.096 (multiplicity 1)
O: 0.902 0.744 0.424 (multiplicity 1)
O: 0.906 0.438 0.361 (multiplicity 1)
O: 0.907 0.566 0.141 (multiplicity 1)
O: 0.908 0.437 0.081 (multiplicity 1)
O: 0.909 0.260 0.075 (multiplicity 1)
O: 0.913 0.110 0.695 (multiplicity 1)
O: 0.913 0.570 0.416 (multiplicity 1)
O: 0.920 0.911 0.090 (multiplicity 1)
O: 0.923 0.098 0.409 (multiplicity 1)
O: 0.925 0.239 0.755 (multiplicity 1)
O: 0.925 0.764 0.030 (multiplicity 1)
O: 0.926 0.902 0.806 (multiplicity 1)
O: 0.934 0.244 0.476 (multiplicity 1)
O: 0.938 0.757 0.741 (multiplicity 1)

Calculated values
- Formation energy: -2341 meV per atom
- E_tot: -6.489 eV/atom